Here is crystalline Sr2CdIn at its relaxed geometry from the Materials Project database. Energies are from r²SCAN.

The structure in CIF format:
```
data_Sr2CdIn
_cell_length_a 5.7295
_cell_length_b 5.7295
_cell_length_c 5.7295
_cell_angle_alpha 60.00
_cell_angle_beta 60.00
_cell_angle_gamma 60.00
_space_group_name_H-M_alt 'P 1'
_space_group_IT_number 1
_space_group_name_Hall 'P 1'
loop_
_atom_site_label
_atom_site_fract_x
_atom_site_fract_y
_atom_site_fract_z
Sr1 0.2500 0.2500 0.2500
Sr2 0.7500 0.7500 0.7500
Cd1 0.0000 0.0000 0.0000
In1 0.5000 0.5000 0.5000
```

Calculated values
The total energy is -1.373 Ry per atom. The value obtained for the formation energy is -443 meV/atom.